Material: Nb2Zn2CuO8
Method: DFT, GGA-PBE
State: optimized geometry

Unit cell a=10.1256 b=10.1256 c=5.2315 alpha=91.79 beta=91.79 gamma=34.60
Sites, in units of the cell vectors:
Nb 0.0488 0.7220 0.7677
Nb 0.2780 0.9512 0.7323
Nb 0.7220 0.0488 0.2677
Nb 0.9512 0.2780 0.2323
Zn 0.1247 0.4336 0.2555
Zn 0.4336 0.1247 0.7555
Zn 0.5664 0.8753 0.2445
Zn 0.8753 0.5664 0.7445
Cu 0.3504 0.6496 0.2500
Cu 0.6496 0.3504 0.7500
O 0.0478 0.8091 0.4345
O 0.0781 0.2845 0.9400
O 0.1635 0.4499 0.6358
O 0.1909 0.9522 0.0655
O 0.2845 0.0781 0.4400
O 0.3136 0.5754 0.9351
O 0.4246 0.6864 0.5649
O 0.4499 0.1635 0.1358
O 0.5501 0.8365 0.8642
O 0.5754 0.3136 0.4351
O 0.6864 0.4246 0.0649
O 0.7155 0.9219 0.5600
O 0.8091 0.0478 0.9345
O 0.8365 0.5501 0.3642
O 0.9219 0.7155 0.0600
O 0.9522 0.1909 0.5655

Theoretical density: 5.5 g cm⁻³
SG: C2/c (15)
Total magnetic moment: 1.00 μB/f.u.
Uncorrected energy: -6.9584 eV per atom

=====

Material: NaZr2As3O12
Method: DFT, GGA-PBE
State: optimized geometry

Unit cell a=9.5038 b=9.5038 c=9.5038 alpha=58.86 beta=58.86 gamma=58.86
Sites, in units of the cell vectors:
Na 0.0000 0.0000 0.0000
Na 0.5000 0.5000 0.5000
Zr 0.1432 0.1432 0.1432
Zr 0.3568 0.3568 0.3568
Zr 0.6432 0.6432 0.6432
Zr 0.8568 0.8568 0.8568
As 0.0409 0.7500 0.4591
As 0.2500 0.5409 0.9591
As 0.4591 0.0409 0.7500
As 0.5409 0.9591 0.2500
As 0.7500 0.4591 0.0409
As 0.9591 0.2500 0.5409
O 0.0031 0.7956 0.6300
O 0.0605 0.9231 0.2677
O 0.0769 0.7323 0.9395
O 0.1300 0.2956 0.5031
O 0.2044 0.3700 0.9969
O 0.2323 0.5769 0.4395
O 0.2677 0.0605 0.9231
O 0.2956 0.5031 0.1300
O 0.3700 0.9969 0.2044
O 0.4231 0.5605 0.7677
O 0.4395 0.2323 0.5769
O 0.4969 0.8700 0.7044
O 0.5031 0.1300 0.2956
O 0.5605 0.7677 0.4231
O 0.5769 0.4395 0.2323
O 0.6300 0.0031 0.7956
O 0.7044 0.4969 0.8700
O 0.7323 0.9395 0.0769
O 0.7677 0.4231 0.5605
O 0.7956 0.6300 0.0031
O 0.8700 0.7044 0.4969
O 0.9231 0.2677 0.0605
O 0.9395 0.0769 0.7323
O 0.9969 0.2044 0.3700

Theoretical density: 3.5 g cm⁻³
SG: R-3c (167)
Total magnetic moment: 0.00 μB/f.u.
Uncorrected energy: -7.1459 eV per atom

=====

Question: The highest total magnetic moment belongs to which entry?
Answer: Nb2Zn2CuO8